Compound: ErBiW2O9
Source: the Materials Project database
Functional: PBE with a Hubbard U
Structure: optimized geometry

Output
- DFT total energy: -192.40 eV per cell
- Energy relative to the elements: -240.1 kJ/mol of atoms
- E (MP2020): -8.558 eV per atom

Lattice parameters (Å, degrees): 3.9163 5.7488 16.3564 90.00 90.00 90.00
Last column: nearest neighbours and their distance in Å.
Fractional positions:
Er (0.2500, 0.2500, 0.1656)  7 O 2.25-2.36
Er (0.7500, 0.7500, 0.8344)  7 O 2.25-2.36
Bi (0.2500, 0.7500, 0.5533)  6 O 2.26-2.50
Bi (0.7500, 0.2500, 0.4467)  6 O 2.26-2.50
W (0.2500, 0.2500, 0.9132)  5 O 1.81-1.96
W (0.2500, 0.7500, 0.3400)  4 O 1.82-1.97
W (0.7500, 0.2500, 0.6600)  4 O 1.82-1.97
W (0.7500, 0.7500, 0.0868)  5 O 1.81-1.96
O (0.2500, 0.9998, 0.2713)  1 W 1.82
O (0.2500, 0.2500, 0.0236)  1 W 1.81
O (0.2500, 0.2500, 0.6466)  2 W 1.97
O (0.2500, 0.5002, 0.2713)  1 W 1.82
O (0.2500, 0.5198, 0.4412)  1 W 2.12, 1 Bi 2.26
O (0.2500, 0.5309, 0.8574)  1 W 1.85
O (0.2500, 0.7500, 0.0953)  2 W 1.96
O (0.2500, 0.9691, 0.8574)  1 W 1.85
O (0.2500, 0.9802, 0.4412)  1 W 2.12, 1 Bi 2.26
O (0.7500, 0.0002, 0.7287)  1 W 1.82
O (0.7500, 0.0198, 0.5588)  1 W 2.12, 1 Bi 2.26
O (0.7500, 0.0309, 0.1426)  1 W 1.85
O (0.7500, 0.2500, 0.9047)  2 W 1.96
O (0.7500, 0.4691, 0.1426)  1 W 1.85
O (0.7500, 0.4802, 0.5588)  1 W 2.12, 1 Bi 2.26
O (0.7500, 0.4998, 0.7287)  1 W 1.82
O (0.7500, 0.7500, 0.3534)  2 W 1.97
O (0.7500, 0.7500, 0.9764)  1 W 1.81